Density functional theory data (meta-GGA r2SCAN) for a relaxed ErIn2Pd crystal.

Cell and atoms, written as POSCAR:
```
ErIn2Pd
1.0
-6.848 6.847 4.562
6.847 -6.848 4.562
6.849 6.849 -4.563
Pd Er In
10 10 20
Direct
0.885 0.385 0.500 Pd
0.629 0.307 0.000 Pd
0.629 0.629 0.322 Pd
0.761 0.975 0.787 Pd
0.188 0.974 0.214 Pd
0.307 0.629 0.000 Pd
0.974 0.188 0.214 Pd
0.385 0.885 0.500 Pd
0.975 0.761 0.787 Pd
0.306 0.306 0.678 Pd
0.325 0.921 0.000 Er
0.889 0.609 0.279 Er
0.921 0.921 0.597 Er
0.921 0.325 0.000 Er
0.325 0.325 0.403 Er
0.609 0.330 0.721 Er
0.609 0.889 0.279 Er
0.538 0.538 0.000 Er
0.010 0.010 0.000 Er
0.330 0.609 0.721 Er
0.223 0.015 0.492 In
0.015 0.223 0.492 In
0.135 0.752 0.617 In
0.119 0.281 0.838 In
0.905 0.905 0.261 In
0.518 0.135 0.383 In
0.281 0.444 0.162 In
0.752 0.135 0.617 In
0.906 0.645 0.000 In
0.135 0.518 0.383 In
0.523 0.731 0.508 In
0.645 0.906 0.000 In
0.281 0.119 0.838 In
0.223 0.731 0.208 In
0.645 0.645 0.739 In
0.731 0.523 0.508 In
0.731 0.223 0.208 In
0.523 0.015 0.792 In
0.444 0.281 0.162 In
0.015 0.523 0.792 In
```

Total energy   -1050.4 eV for the cell shown
Magnetic moment   0.0 μB per cell
Crystal system   tetragonal